# ReIr GGA-PBE optimized geometry
# Mass density   21.36 g/cm3
# Calculated total energy   -10.840 eV/atom
# Volume   14.7 Å³ per atom
# Crystal system   hexagonal
data_ReIr
_chemical_formula_sum 'Re1 Ir1'
_cell_length_a 2.7757
_cell_length_b 2.7757
_cell_length_c 4.4087
_cell_angle_alpha 90.00
_cell_angle_beta 90.00
_cell_angle_gamma 120.00
_symmetry_space_group_name_H-M 'P -6 m 2'
_symmetry_Int_Tables_number 187
_symmetry_space_group_name_Hall 'P -6 2'
loop_
_atom_site_label
_atom_site_type_symbol
_atom_site_fract_x
_atom_site_fract_y
_atom_site_fract_z
Re1 Re 0.0000 0.0000 0.0000
Ir1 Ir 0.3333 0.6667 0.5000